1.
A plane-wave DFT calculation with PBE was carried out for a relaxed Sm6Fe23 crystal.

CIF file:
```
data_Sm6Fe23
_chemical_formula_sum 'Sm24 Fe92'
_symmetry_space_group_name_H-M 'F m -3 m'
_symmetry_Int_Tables_number 225
_symmetry_space_group_name_Hall '-F 4 2 3'
_cell_length_a 12.1218
_cell_length_b 12.1218
_cell_length_c 12.1218
_cell_angle_alpha 90.00
_cell_angle_beta 90.00
_cell_angle_gamma 90.00
loop_
_atom_site_label
_atom_site_fract_x
_atom_site_fract_y
_atom_site_fract_z
_atom_site_occupancy
Sm1 0.0000 0.0000 0.2101 1
Fe1 0.0000 0.0000 0.5000 1
Fe2 0.0000 0.2500 0.2500 1
Fe3 0.1223 0.1223 0.3777 1
Fe4 0.1771 0.1771 0.1771 1
```

Values from the calculation:
As for the crystal system: cubic. As for the total energy: -7.67 eV per atom. Its energy of formation from the pure elements is 0.024 eV/atom. The total moment is 1.793 μB per atom.

---

2.
A plane-wave DFT calculation with PBE was carried out for a relaxed Sm2Fe17 crystal.

CIF file:
```
data_Sm2Fe17
_chemical_formula_sum 'Sm6 Fe51'
_symmetry_space_group_name_H-M 'R -3 m'
_symmetry_Int_Tables_number 166
_symmetry_space_group_name_Hall '-R 3 2"'
_cell_length_a 8.5281
_cell_length_b 8.5281
_cell_length_c 12.4449
_cell_angle_alpha 90.00
_cell_angle_beta 90.00
_cell_angle_gamma 120.00
loop_
_atom_site_label
_atom_site_fract_x
_atom_site_fract_y
_atom_site_fract_z
_atom_site_occupancy
Sm1 0.0000 0.0000 0.1588 1
Fe1 0.0000 0.0000 0.4035 1
Fe2 0.0000 0.2913 0.5000 1
Fe3 0.0000 0.5000 0.0000 1
Fe4 0.0017 0.5009 0.3436 1
```

Values from the calculation:
As for the crystal system: trigonal. As for the total energy: -8.05 eV per atom. Its energy of formation from the pure elements is 0.023 eV/atom. The total moment is 2.081 μB per atom.